Compound: Cs2SbAuBr6
Source: the Materials Project database
Functional: PBE-GGA
Structure: optimized geometry

Geometry as extended XYZ:
```
10
Lattice="-0.280 4.018 6.943 -6.112 -1.170 5.070 1.217 -3.868 6.928" Properties=species:S:1:pos:R:3 pbc="T T T"
Cs -3.882 -0.765 14.206
Cs -1.294 -0.255 4.735
Sb 0.000 0.000 0.000
Au -2.588 -0.510 9.471
Br -1.434 1.753 8.207
Br -0.686 -2.188 8.200
Br -3.741 -2.773 10.734
Br -4.349 -0.840 7.271
Br -0.826 -0.180 11.670
Br -4.489 1.168 10.742
```

## Properties
Energy with MP2020 corrections = -0.1183 Ha/atom
Raw total energy = -2.898 eV/atom
Space-group type = Fm-3m (225)